Entry 1:
VASP calculation (meta-GGA r2SCAN) on a relaxed structure of NaNbO3.

Cell and atoms, written as POSCAR:
```
NaNbO3
1.0
5.521 0.000 0.000
0.000 5.583 0.000
0.000 0.000 7.801
Na Nb O
4 4 12
Cartesian
2.751 1.501 0.000
5.512 4.082 3.900
2.706 1.175 3.900
5.466 4.408 0.000
2.682 4.157 1.979
2.682 4.157 5.822
5.443 1.426 1.921
5.443 1.426 5.880
0.474 1.287 0.000
3.235 4.296 3.900
5.183 1.484 3.900
2.423 4.099 0.000
4.457 3.044 1.657
4.457 3.044 6.144
1.696 2.539 2.244
1.696 2.539 5.557
1.213 5.351 2.253
1.213 5.351 5.548
3.974 0.232 1.647
3.974 0.232 6.154
```

Space group: Pmn2_1 (31)
Calculated formation energy in eV per atom: -2.64

Entry 2:
VASP calculation (meta-GGA r2SCAN) on a relaxed structure of PrPtF7.

Cell and atoms, written as POSCAR:
```
PrPtF7
1.0
-0.962 -5.468 0.027
0.988 -0.129 9.113
-9.941 1.784 7.006
Pr Pt F
4 4 28
Cartesian
-7.525 -2.907 12.763
-7.384 -0.142 6.887
-2.391 -0.906 3.383
-2.532 -3.671 9.260
-9.979 -2.458 9.219
-4.918 -0.524 10.431
0.063 -1.355 6.927
-4.998 -3.289 5.716
-8.799 -0.808 12.887
-6.432 -4.074 6.772
-1.116 -3.005 3.259
-3.484 0.261 9.374
-5.497 -1.511 6.338
-9.765 -3.544 13.322
-4.419 -2.302 9.808
-0.151 -0.269 2.825
-8.802 -2.702 10.747
-6.110 -0.365 8.903
-1.114 -1.111 5.400
-3.806 -3.447 7.243
-1.188 -4.066 0.654
-3.774 -0.736 11.990
-8.727 0.253 15.493
-6.142 -3.077 4.157
-6.443 -4.229 11.053
-8.849 -0.999 8.608
-3.472 0.417 5.093
-1.067 -2.814 7.539
-1.054 -0.137 7.951
-3.534 -2.536 4.683
-8.862 -3.676 8.196
-6.382 -1.277 11.464
-1.705 -1.839 10.378
-3.507 -4.382 2.273
-8.210 -1.973 5.768
-6.409 0.569 13.874
```

Space group: P2_1/c (14)
Calculated formation energy in eV per atom: -2.79

Entry 3:
VASP calculation (meta-GGA r2SCAN) on a relaxed structure of EuAgAu2.

Cell and atoms, written as POSCAR:
```
EuAgAu2
1.0
0.074 -4.818 1.279
-3.700 -1.908 2.743
-3.247 -3.175 -2.057
Eu Ag Au
1 1 2
Cartesian
0.000 0.000 0.000
-3.437 -4.950 0.982
-5.155 -7.426 1.473
-1.718 -2.475 0.491
```

Space group: Fm-3m (225)
Calculated formation energy in eV per atom: -0.53

Entry 4:
VASP calculation (meta-GGA r2SCAN) on a relaxed structure of LaGa6.

Cell and atoms, written as POSCAR:
```
LaGa6
1.0
6.061 0.000 0.000
0.000 6.061 0.000
0.000 0.000 7.697
La Ga
2 12
Cartesian
0.000 3.030 7.697
3.030 6.060 7.697
3.030 3.030 1.238
0.000 6.060 6.459
3.030 3.030 6.458
0.000 0.000 1.239
1.318 4.348 2.649
4.742 1.712 2.649
4.349 1.318 5.049
1.712 4.742 5.048
1.319 1.711 5.049
4.742 4.348 5.048
4.348 4.743 2.648
1.712 1.319 2.649
```

Space group: P4/nbm (125)
Calculated formation energy in eV per atom: -0.41